Record 1
# K5Na3Nb4W4O24

Crystalline K5Na3Nb4W4O24 at its relaxed geometry (GGA+U, the Materials Project).

a b c (Å): 11.364 11.385 8.037
angles (deg): 90.00 90.12 90.00
Space group Cm (No. 8)
Unique sites:
K1 0.000 0.000 0.000 x2
K2 0.000 0.000 0.500 x2
K3 0.249 0.249 0.500 x4
K4 0.498 0.000 0.500 x2
Na1 0.249 0.249 0.000 x4
Na2 0.498 0.000 0.000 x2
Nb1 0.249 0.000 0.249 x2
Nb2 0.250 0.000 0.752 x2
Nb3 0.499 0.249 0.248 x4
W1 0.248 0.500 0.249 x2
W2 0.249 0.500 0.752 x2
W3 0.499 0.249 0.751 x4
O1 0.000 0.249 0.501 x4
O2 0.123 0.127 0.751 x4
O3 0.124 0.126 0.248 x4
O4 0.126 0.376 0.753 x4
O5 0.127 0.378 0.247 x4
O6 0.248 0.500 0.006 x2
O7 0.248 0.500 0.493 x2
O8 0.249 0.000 0.502 x2
O9 0.250 0.000 0.999 x2
O10 0.370 0.377 0.248 x4
O11 0.371 0.375 0.753 x4
O12 0.375 0.125 0.247 x4
O13 0.376 0.126 0.755 x4
O14 0.498 0.248 0.000 x4

Values from the calculation:
Crystal system: monoclinic
Formation energy in eV/f.u.: -99.81
E_tot in eV for the cell shown: -572.2

Record 2
# K5Na3Nb7WO24

Crystalline K5Na3Nb7WO24 at its relaxed geometry (GGA+U, the Materials Project).

a b c (Å): 11.413 11.412 8.069
angles (deg): 90.00 90.00 90.00
Space group Cm (No. 8)
Unique sites:
K1 0.000 0.000 0.000 x2
K2 0.000 0.000 0.499 x2
K3 0.249 0.249 0.000 x4
K4 0.499 0.000 0.000 x2
Na1 0.249 0.249 0.499 x4
Na2 0.499 0.000 0.499 x2
Nb1 0.249 0.500 0.251 x2
Nb2 0.250 0.000 0.250 x2
Nb3 0.250 0.000 0.748 x2
Nb4 0.499 0.250 0.250 x4
Nb5 0.499 0.250 0.748 x4
W1 0.249 0.500 0.748 x2
O1 0.124 0.126 0.748 x4
O2 0.125 0.126 0.250 x4
O3 0.125 0.376 0.251 x4
O4 0.127 0.378 0.747 x4
O5 0.248 0.500 0.505 x2
O6 0.249 0.000 0.999 x2
O7 0.249 0.500 0.993 x2
O8 0.250 0.000 0.500 x2
O9 0.371 0.378 0.748 x4
O10 0.373 0.375 0.250 x4
O11 0.375 0.125 0.251 x4
O12 0.375 0.126 0.747 x4
O13 0.499 0.249 0.500 x4
O14 0.499 0.250 0.998 x4

Values from the calculation:
Crystal system: monoclinic
Formation energy in eV/f.u.: -110.12
E_tot in eV for the cell shown: -602.3

Record 3
# K4Na4NbW7O20

Crystalline K4Na4NbW7O20 at its relaxed geometry (GGA+U, the Materials Project).

a b c (Å): 11.594 11.786 17.538
angles (deg): 70.71 70.85 89.69
Space group P1 (No. 1)
Unique sites:
K1 0.000 0.000 0.000 x1
K2 0.001 0.497 0.996 x1
K3 0.115 0.591 0.766 x1
K4 0.253 0.232 0.999 x1
K5 0.257 0.733 0.997 x1
K6 0.355 0.850 0.283 x1
K7 0.359 0.359 0.279 x1
K8 0.362 0.865 0.769 x1
K9 0.504 0.498 0.994 x1
K10 0.506 0.999 0.997 x1
K11 0.602 0.580 0.283 x1
K12 0.614 0.588 0.769 x1
K13 0.753 0.731 0.998 x1
K14 0.756 0.231 0.999 x1
K15 0.851 0.355 0.280 x1
K16 0.870 0.357 0.768 x1
Na1 0.003 0.500 0.493 x1
Na2 0.009 0.017 0.487 x1
Na3 0.103 0.072 0.292 x1
Na4 0.105 0.576 0.293 x1
Na5 0.113 0.079 0.787 x1
Na6 0.241 0.728 0.491 x1
Na7 0.256 0.232 0.486 x1
Na8 0.352 0.355 0.786 x1
Na9 0.492 0.006 0.489 x1
Na10 0.501 0.506 0.490 x1
Na11 0.607 0.082 0.293 x1
Na12 0.617 0.080 0.783 x1
Na13 0.750 0.726 0.491 x1
Na14 0.762 0.222 0.490 x1
Na15 0.853 0.851 0.295 x1
Na16 0.861 0.867 0.786 x1
Nb1 0.451 0.715 0.630 x1
Nb2 0.710 0.375 0.630 x1
Nb3 0.734 0.880 0.633 x1
Nb4 0.932 0.719 0.631 x1
W1 0.041 0.789 0.391 x1
W2 0.043 0.292 0.389 x1
W3 0.054 0.295 0.884 x1
W4 0.055 0.797 0.885 x1
W5 0.180 0.900 0.631 x1
W6 0.200 0.386 0.137 x1
W7 0.204 0.888 0.139 x1
W8 0.218 0.379 0.632 x1
W9 0.290 0.539 0.396 x1
W10 0.291 0.043 0.391 x1
W11 0.305 0.547 0.881 x1
W12 0.307 0.048 0.881 x1
W13 0.458 0.189 0.144 x1
W14 0.459 0.688 0.139 x1
W15 0.460 0.207 0.633 x1
W16 0.539 0.790 0.396 x1
W17 0.542 0.284 0.397 x1
W18 0.557 0.296 0.882 x1
W19 0.558 0.796 0.881 x1
W20 0.691 0.399 0.138 x1
W21 0.707 0.892 0.149 x1
W22 0.790 0.540 0.394 x1
W23 0.794 0.036 0.394 x1
W24 0.804 0.045 0.885 x1
W25 0.808 0.548 0.880 x1
W26 0.949 0.188 0.148 x1
W27 0.956 0.698 0.146 x1
W28 0.986 0.171 0.635 x1
O1 0.102 0.222 0.164 x1
O2 0.102 0.890 0.254 x1
O3 0.106 0.392 0.253 x1
O4 0.109 0.758 0.621 x1
O5 0.112 0.725 0.160 x1
O6 0.119 0.380 0.745 x1
O7 0.119 0.898 0.749 x1
O8 0.151 0.217 0.636 x1
O9 0.156 0.908 0.409 x1
O10 0.160 0.410 0.408 x1
O11 0.171 0.669 0.382 x1
O12 0.174 0.916 0.897 x1
O13 0.175 0.173 0.372 x1
O14 0.180 0.417 0.888 x1
O15 0.186 0.677 0.873 x1
O16 0.187 0.177 0.872 x1
O17 0.212 0.510 0.533 x1
O18 0.214 0.029 0.523 x1
O19 0.232 0.496 0.022 x1
O20 0.236 0.998 0.024 x1
O21 0.354 0.078 0.254 x1
O22 0.354 0.845 0.623 x1
O23 0.356 0.589 0.257 x1
O24 0.358 0.334 0.134 x1
O25 0.359 0.093 0.744 x1
O26 0.363 0.838 0.138 x1
O27 0.375 0.594 0.738 x1
O28 0.390 0.363 0.635 x1
O29 0.404 0.904 0.415 x1
O30 0.408 0.404 0.416 x1
O31 0.422 0.668 0.387 x1
O32 0.427 0.166 0.380 x1
O33 0.427 0.419 0.885 x1
O34 0.432 0.923 0.885 x1
O35 0.437 0.677 0.869 x1
O36 0.440 0.182 0.863 x1
O37 0.463 0.175 0.532 x1
O38 0.465 0.674 0.535 x1
O39 0.482 0.710 0.019 x1
O40 0.487 0.217 0.021 x1
O41 0.607 0.221 0.161 x1
O42 0.607 0.898 0.261 x1
O43 0.609 0.756 0.141 x1
O44 0.612 0.762 0.623 x1
O45 0.614 0.366 0.262 x1
O46 0.626 0.384 0.739 x1
O47 0.636 0.227 0.630 x1
O48 0.637 0.884 0.741 x1
O49 0.654 0.903 0.417 x1
O50 0.656 0.401 0.418 x1
O51 0.672 0.163 0.387 x1
O52 0.673 0.673 0.385 x1
O53 0.677 0.915 0.891 x1
O54 0.678 0.417 0.890 x1
O55 0.683 0.175 0.874 x1
O56 0.689 0.678 0.871 x1
O57 0.711 0.509 0.534 x1
O58 0.737 0.987 0.026 x1
O59 0.741 0.494 0.019 x1
O60 0.742 0.005 0.531 x1
O61 0.846 0.586 0.256 x1
O62 0.849 0.067 0.257 x1
O63 0.852 0.333 0.134 x1
O64 0.861 0.843 0.162 x1
O65 0.862 0.092 0.750 x1
O66 0.868 0.598 0.739 x1
O67 0.871 0.357 0.620 x1
O68 0.906 0.889 0.633 x1
O69 0.907 0.902 0.409 x1
O70 0.911 0.412 0.406 x1
O71 0.924 0.672 0.377 x1
O72 0.926 0.915 0.894 x1
O73 0.928 0.420 0.889 x1
O74 0.929 0.165 0.376 x1
O75 0.937 0.172 0.874 x1
O76 0.937 0.681 0.868 x1
O77 0.961 0.683 0.530 x1
O78 0.976 0.196 0.521 x1
O79 0.988 0.706 0.029 x1
O80 0.990 0.215 0.024 x1

Values from the calculation:
Crystal system: triclinic
Formation energy in eV/f.u.: -68.90
E_tot in eV for the cell shown: -934.4

Record 4
# K4Na4Nb3W5O24

Crystalline K4Na4Nb3W5O24 at its relaxed geometry (GGA+U, the Materials Project).

a b c (Å): 8.029 8.037 8.041
angles (deg): 90.00 90.00 90.00
Space group Pmm2 (No. 25)
Unique sites:
K1 0.249 0.249 0.000 x4
Na1 0.249 0.249 0.500 x4
Nb1 0.000 0.500 0.252 x1
Nb2 0.000 0.500 0.749 x1
Nb3 0.500 0.500 0.252 x1
W1 0.000 0.000 0.252 x1
W2 0.000 0.000 0.749 x1
W3 0.500 0.000 0.252 x1
W4 0.500 0.000 0.749 x1
W5 0.500 0.500 0.749 x1
O1 0.000 0.000 0.001 x1
O2 0.000 0.000 0.499 x1
O3 0.000 0.246 0.253 x2
O4 0.000 0.254 0.747 x2
O5 0.000 0.500 0.002 x1
O6 0.000 0.500 0.498 x1
O7 0.243 0.000 0.747 x2
O8 0.250 0.000 0.253 x2
O9 0.251 0.500 0.253 x2
O10 0.255 0.500 0.747 x2
O11 0.500 0.000 0.001 x1
O12 0.500 0.000 0.500 x1
O13 0.500 0.247 0.253 x2
O14 0.500 0.261 0.747 x2
O15 0.500 0.500 0.503 x1
O16 0.500 0.500 0.997 x1

Values from the calculation:
Crystal system: orthorhombic
Formation energy in eV/f.u.: -96.95
E_tot in eV for the cell shown: -281.8

Record 5
# K2Na2NbW3O10

Crystalline K2Na2NbW3O10 at its relaxed geometry (GGA+U, the Materials Project).

a b c (Å): 11.567 11.746 17.576
angles (deg): 70.79 70.88 89.80
Space group P1 (No. 1)
Unique sites:
K1 0.000 0.000 0.000 x1
K2 0.000 0.496 0.000 x1
K3 0.112 0.094 0.768 x1
K4 0.250 0.735 0.003 x1
K5 0.251 0.237 0.999 x1
K6 0.354 0.353 0.285 x1
K7 0.357 0.860 0.281 x1
K8 0.365 0.373 0.769 x1
K9 0.499 0.998 0.999 x1
K10 0.504 0.498 0.000 x1
K11 0.602 0.085 0.283 x1
K12 0.612 0.090 0.772 x1
K13 0.750 0.236 0.001 x1
K14 0.752 0.730 0.001 x1
K15 0.855 0.857 0.280 x1
K16 0.858 0.867 0.770 x1
Na1 0.000 0.516 0.488 x1
Na2 0.100 0.579 0.789 x1
Na3 0.105 0.082 0.293 x1
Na4 0.106 0.581 0.292 x1
Na5 0.240 0.229 0.494 x1
Na6 0.249 0.732 0.487 x1
Na7 0.351 0.857 0.787 x1
Na8 0.494 0.005 0.493 x1
Na9 0.494 0.511 0.492 x1
Na10 0.606 0.583 0.294 x1
Na11 0.607 0.578 0.786 x1
Na12 0.748 0.229 0.493 x1
Na13 0.752 0.722 0.491 x1
Na14 0.854 0.351 0.292 x1
Na15 0.854 0.364 0.788 x1
Na16 0.986 0.006 0.495 x1
Nb1 0.188 0.397 0.632 x1
Nb2 0.194 0.870 0.637 x1
Nb3 0.454 0.214 0.632 x1
Nb4 0.476 0.720 0.636 x1
Nb5 0.680 0.872 0.634 x1
Nb6 0.731 0.381 0.635 x1
Nb7 0.929 0.221 0.634 x1
Nb8 0.963 0.710 0.634 x1
W1 0.038 0.291 0.395 x1
W2 0.040 0.793 0.395 x1
W3 0.051 0.796 0.886 x1
W4 0.052 0.299 0.885 x1
W5 0.189 0.900 0.140 x1
W6 0.198 0.394 0.142 x1
W7 0.287 0.040 0.399 x1
W8 0.288 0.542 0.396 x1
W9 0.304 0.049 0.883 x1
W10 0.304 0.552 0.883 x1
W11 0.450 0.189 0.142 x1
W12 0.450 0.693 0.148 x1
W13 0.539 0.292 0.398 x1
W14 0.541 0.789 0.399 x1
W15 0.552 0.797 0.886 x1
W16 0.554 0.297 0.884 x1
W17 0.690 0.898 0.140 x1
W18 0.709 0.395 0.148 x1
W19 0.788 0.042 0.397 x1
W20 0.791 0.538 0.397 x1
W21 0.803 0.548 0.885 x1
W22 0.804 0.050 0.884 x1
W23 0.948 0.686 0.149 x1
W24 0.959 0.183 0.147 x1
O1 0.096 0.729 0.167 x1
O2 0.103 0.395 0.259 x1
O3 0.107 0.260 0.622 x1
O4 0.109 0.231 0.162 x1
O5 0.111 0.893 0.261 x1
O6 0.115 0.885 0.743 x1
O7 0.116 0.394 0.746 x1
O8 0.138 0.713 0.635 x1
O9 0.152 0.906 0.418 x1
O10 0.153 0.409 0.415 x1
O11 0.166 0.169 0.389 x1
O12 0.172 0.675 0.380 x1
O13 0.177 0.425 0.888 x1
O14 0.178 0.919 0.889 x1
O15 0.184 0.179 0.873 x1
O16 0.186 0.682 0.868 x1
O17 0.210 0.005 0.539 x1
O18 0.211 0.525 0.530 x1
O19 0.229 0.498 0.024 x1
O20 0.235 0.998 0.021 x1
O21 0.345 0.832 0.138 x1
O22 0.348 0.583 0.260 x1
O23 0.350 0.091 0.262 x1
O24 0.354 0.345 0.624 x1
O25 0.356 0.342 0.141 x1
O26 0.361 0.852 0.634 x1
O27 0.374 0.095 0.740 x1
O28 0.382 0.609 0.744 x1
O29 0.402 0.405 0.419 x1
O30 0.404 0.906 0.417 x1
O31 0.418 0.169 0.390 x1
O32 0.422 0.666 0.389 x1
O33 0.424 0.920 0.889 x1
O34 0.430 0.425 0.888 x1
O35 0.433 0.681 0.872 x1
O36 0.434 0.179 0.871 x1
O37 0.466 0.176 0.535 x1
O38 0.478 0.692 0.536 x1
O39 0.479 0.215 0.020 x1
O40 0.488 0.717 0.024 x1
O41 0.598 0.264 0.144 x1
O42 0.601 0.722 0.164 x1
O43 0.608 0.398 0.262 x1
O44 0.610 0.868 0.264 x1
O45 0.614 0.884 0.743 x1
O46 0.619 0.258 0.624 x1
O47 0.633 0.382 0.744 x1
O48 0.647 0.702 0.637 x1
O49 0.651 0.406 0.420 x1
O50 0.654 0.905 0.418 x1
O51 0.671 0.666 0.388 x1
O52 0.672 0.176 0.386 x1
O53 0.675 0.919 0.892 x1
O54 0.678 0.421 0.888 x1
O55 0.682 0.677 0.871 x1
O56 0.685 0.179 0.875 x1
O57 0.712 0.010 0.535 x1
O58 0.736 0.489 0.025 x1
O59 0.738 0.505 0.533 x1
O60 0.739 0.995 0.022 x1
O61 0.847 0.085 0.263 x1
O62 0.848 0.568 0.260 x1
O63 0.848 0.829 0.137 x1
O64 0.858 0.840 0.624 x1
O65 0.862 0.345 0.157 x1
O66 0.865 0.102 0.743 x1
O67 0.874 0.596 0.743 x1
O68 0.904 0.392 0.636 x1
O69 0.905 0.405 0.412 x1
O70 0.905 0.907 0.414 x1
O71 0.922 0.174 0.380 x1
O72 0.925 0.920 0.891 x1
O73 0.926 0.422 0.888 x1
O74 0.926 0.669 0.381 x1
O75 0.934 0.182 0.870 x1
O76 0.936 0.677 0.872 x1
O77 0.955 0.184 0.534 x1
O78 0.976 0.685 0.532 x1
O79 0.984 0.226 0.023 x1
O80 0.989 0.713 0.024 x1

Values from the calculation:
Crystal system: triclinic
Formation energy in eV/f.u.: -36.31
E_tot in eV for the cell shown: -955.6

- Which formula does entry 2 have?
  K5Na3Nb7WO24